(1)
DFT (PBE+U) results for a relaxed Li3Mn5OF11 crystal.

Unit cell a=5.3636 b=5.7660 c=9.4197 alpha=106.57 beta=89.14 gamma=116.86
With the nearest neighbours (Å) after each atom.
Positions (direct):
Mn: 0.4459 0.7196 0.1500  1 F 1.81, 1 O 1.97
Mn: 0.2121 0.9973 0.4103  2 F 1.86-2.00
Mn: 0.9845 0.0086 0.9991  2 F 1.91-2.01, 1 O 2.01
Mn: 0.9511 0.2705 0.6399  2 F 1.88-1.89
Mn: 0.6701 0.5053 0.8950  1 O 1.73
F: 0.5171 0.3873 0.3078  2 Li 1.76-1.80
F: 0.4288 0.1440 0.0476  1 Mn 2.15, 1 F 2.38
F: 0.0420 0.2512 0.4438  2 Mn 1.89-2.00
F: 0.5030 0.0843 0.6105  2 Mn 2.13-2.25
F: 0.0237 0.9266 0.7914  1 Li 1.90, 1 Mn 1.91
F: 0.9436 0.3668 0.8478  2 Mn 1.88-1.96
F: 0.4405 0.8333 0.3491  2 Mn 1.81-1.86
F: 0.4015 0.5016 0.6866  2 Li 1.92-2.05, 1 Mn 2.14
F: 0.9265 0.6513 0.5379  1 Li 1.98
F: 0.9999 0.5789 0.1084  1 Mn 2.15, 1 F 2.36
F: 0.9132 0.0111 0.2091  1 Li 1.89, 1 Mn 2.01
Li: 0.3094 0.8163 0.7788  2 F 1.90-2.05
Li: 0.5208 0.5436 0.4982  2 F 1.76-1.92
Li: 0.7736 0.2689 0.2574  2 F 1.80-1.89
O: 0.5673 0.7578 0.9561  1 Mn 1.73

Computed properties:
Calculated volume in Å³/cell: 247
Symmetry: P1
Magnetic moment in μB per formula unit: 25.005
Energy in eV per atom: -5.549
DFT formation energy in eV/atom: -2.377
Offset from the most stable computed form in meV/atom: 496


(2)
DFT (PBE+U) results for a relaxed VPO5 crystal.

Unit cell a=9.0112 b=5.1060 c=17.7999 alpha=89.62 beta=90.00 gamma=90.00
With the nearest neighbours (Å) after each atom.
Positions (direct):
O: 0.7950 0.9891 0.0528  1 P 1.54
O: 0.5238 0.7536 0.1576  1 P 1.54
O: 0.1780 0.2477 0.5522  1 P 1.54
O: 0.0835 0.9901 0.0749  1 P 1.54
O: 0.7528 0.9959 0.1965  1 P 1.54
O: 0.0819 0.6026 0.8681  1 V 1.60
O: 0.8232 0.2472 0.4490  1 P 1.54
O: 0.9747 0.2470 0.6568  1 P 1.54
O: 0.0253 0.7530 0.3432  1 P 1.54
O: 0.2528 0.0041 0.3035  1 P 1.54
O: 0.8220 0.7523 0.4478  1 P 1.54
O: 0.7588 0.5003 0.3140  1 V 1.60
O: 0.9181 0.3974 0.1319  1 V 1.60
O: 0.2412 0.4997 0.6860  1 V 1.60
O: 0.7050 0.9891 0.5528  1 P 1.54
O: 0.2950 0.0109 0.4472  1 P 1.54
O: 0.0238 0.2464 0.3424  1 P 1.54
O: 0.1768 0.7528 0.5510  1 P 1.54
O: 0.7412 0.5003 0.8140  1 V 1.60
O: 0.3220 0.2477 0.0522  1 P 1.54
O: 0.9762 0.7536 0.6576  1 P 1.54
O: 0.6780 0.7523 0.9478  1 P 1.54
O: 0.2588 0.4997 0.1860  1 V 1.60
O: 0.4165 0.9901 0.5749  1 P 1.54
O: 0.7472 0.9959 0.6965  1 P 1.54
O: 0.5347 0.0042 0.2804  1 P 1.54
O: 0.5835 0.0099 0.4251  1 P 1.54
O: 0.9165 0.0099 0.9251  1 P 1.54
O: 0.4181 0.6026 0.3681  1 V 1.60
O: 0.9653 0.0042 0.7804  1 P 1.54
O: 0.3232 0.7528 0.0510  1 P 1.54
O: 0.4762 0.2464 0.8424  1 P 1.54
O: 0.2472 0.0041 0.8035  1 P 1.54
O: 0.0347 0.9958 0.2196  1 P 1.54
O: 0.5819 0.3974 0.6319  1 V 1.60
O: 0.2050 0.0109 0.9472  1 P 1.54
O: 0.6768 0.2472 0.9490  1 P 1.54
O: 0.4747 0.7530 0.8432  1 P 1.54
O: 0.4653 0.9958 0.7196  1 P 1.54
O: 0.5253 0.2470 0.1568  1 P 1.54
P: 0.2677 0.0009 0.5325  4 O 1.54
P: 0.0819 0.0005 0.3026  4 O 1.54
P: 0.2323 0.0009 0.0325  4 O 1.54
P: 0.4181 0.0005 0.8026  4 O 1.54
P: 0.5819 0.9995 0.1974  4 O 1.54
P: 0.7677 0.9991 0.9675  4 O 1.54
P: 0.9181 0.9995 0.6974  4 O 1.54
P: 0.7323 0.9991 0.4675  4 O 1.54
V: 0.6139 0.4997 0.8763  1 O 1.60
V: 0.3861 0.5003 0.1237  1 O 1.60
V: 0.4191 0.9156 0.3651  1 O 1.60
V: 0.0809 0.9156 0.8651  1 O 1.60
V: 0.9191 0.0844 0.1349  1 O 1.60
V: 0.8861 0.4997 0.3763  1 O 1.60
V: 0.5809 0.0844 0.6349  1 O 1.60
V: 0.1139 0.5003 0.6237  1 O 1.60

Computed properties:
Calculated volume in Å³/cell: 819
Symmetry: P2_1/c
Magnetic moment in μB per formula unit: 0.000
Energy in eV per atom: -7.368
DFT formation energy in eV/atom: -2.496
Offset from the most stable computed form in meV/atom: 4


(3)
DFT (PBE+U) results for a relaxed V2ZnCoO7 crystal.

Unit cell a=14.2479 b=6.5692 c=11.8979 alpha=78.26 beta=90.00 gamma=90.00
With the nearest neighbours (Å) after each atom.
Positions (direct):
O: 0.9738 0.7215 0.7708  1 V 1.72
O: 0.7355 0.3097 0.2228  1 V 1.75
O: 0.6722 0.0523 0.0906  1 V 1.77
O: 0.6805 0.3891 0.4569  1 V 1.78
O: 0.1722 0.9477 0.4094  1 V 1.77
O: 0.8195 0.3891 0.9569  1 V 1.78
O: 0.3837 0.9668 0.3715  1 V 1.77
O: 0.4620 0.6693 0.8075  1 V 1.71
O: 0.2316 0.3154 0.4694  1 V 1.73
O: 0.4738 0.2785 0.7292  1 V 1.72
O: 0.1805 0.6109 0.0431  1 V 1.78
O: 0.8866 0.0186 0.8843  1 V 1.79
O: 0.3195 0.6109 0.5431  1 V 1.78
O: 0.8873 0.5626 0.2030  1 V 1.71
O: 0.4912 0.2819 0.4819  1 V 1.68
O: 0.0088 0.2819 0.9819  1 V 1.68
O: 0.7645 0.3097 0.7228  1 V 1.75
O: 0.8837 0.0332 0.1285  1 V 1.77
O: 0.3873 0.4374 0.2970  1 V 1.71
O: 0.6163 0.0332 0.6285  1 V 1.77
O: 0.7232 0.7185 0.2870  1 V 1.74
O: 0.9631 0.7290 0.5488  2 V 1.77-1.87
O: 0.1343 0.0268 0.6374  1 V 1.72
O: 0.2768 0.2815 0.7130  1 V 1.74
O: 0.3657 0.0268 0.1374  1 V 1.72
O: 0.1163 0.9668 0.8715  1 V 1.77
O: 0.6127 0.5626 0.7030  1 V 1.71
O: 0.6134 0.0186 0.3843  1 V 1.79
O: 0.0380 0.6693 0.3075  1 V 1.71
O: 0.8677 0.4031 0.4053  2 V 1.81-1.95, 1 Co 2.00
O: 0.2684 0.3154 0.9694  1 V 1.73
O: 0.6343 0.9732 0.8626  1 V 1.72
O: 0.0369 0.2710 0.4512  2 V 1.77-1.87
O: 0.5088 0.7181 0.5181  1 V 1.68
O: 0.7684 0.6846 0.5306  1 V 1.73
O: 0.8278 0.0523 0.5906  1 V 1.77
O: 0.1323 0.5969 0.5947  2 V 1.81-1.95, 1 Co 2.00
O: 0.7316 0.6846 0.0306  1 V 1.73
O: 0.4631 0.2710 0.9512  2 V 1.77-1.87
O: 0.2355 0.6903 0.2772  1 V 1.75
O: 0.7768 0.7185 0.7870  1 V 1.74
O: 0.3278 0.9477 0.9094  1 V 1.77
O: 0.1127 0.4374 0.7970  1 V 1.71
O: 0.9620 0.3307 0.6925  1 V 1.71
O: 0.1134 0.9814 0.1157  1 V 1.79
O: 0.6323 0.4031 0.9053  2 V 1.81-1.95, 1 Co 2.00
O: 0.3866 0.9814 0.6157  1 V 1.79
O: 0.5262 0.7215 0.2708  1 V 1.72
O: 0.2232 0.2815 0.2130  1 V 1.74
O: 0.5380 0.3307 0.1925  1 V 1.71
O: 0.5369 0.7290 0.0488  2 V 1.77-1.87
O: 0.3677 0.5969 0.0947  2 V 1.81-1.95, 1 Co 2.00
O: 0.9912 0.7181 0.0181  1 V 1.68
O: 0.0262 0.2785 0.2292  1 V 1.72
O: 0.8657 0.9732 0.3626  1 V 1.72
O: 0.2645 0.6903 0.7772  1 V 1.75
Co: 0.8057 0.3631 0.5587  5 O 2.00-2.14
Co: 0.3057 0.6369 0.9413  5 O 2.00-2.14
Co: 0.1943 0.6369 0.4413  5 O 2.00-2.14
Co: 0.6943 0.3631 0.0587  5 O 2.00-2.14
Co: 0.2647 0.9915 0.2699  5 O 1.98-2.11
Co: 0.7647 0.0085 0.2301  5 O 1.98-2.11
Co: 0.7353 0.0085 0.7301  5 O 1.98-2.11
Co: 0.2353 0.9915 0.7699  5 O 1.98-2.11
V: 0.1425 0.1335 0.4928  4 O 1.72-1.77
V: 0.7105 0.4973 0.7857  4 O 1.71-1.81
V: 0.0157 0.5665 0.6816  3 O 1.71-1.87
V: 0.8575 0.8665 0.5072  4 O 1.72-1.77
V: 0.7895 0.4973 0.2857  4 O 1.71-1.81
V: 0.2895 0.5027 0.2143  4 O 1.71-1.81
V: 0.6425 0.8665 0.0072  4 O 1.72-1.77
V: 0.3575 0.1335 0.9928  4 O 1.72-1.77
V: 0.9004 0.1794 0.9879  4 O 1.68-1.79
V: 0.4843 0.5665 0.1816  3 O 1.71-1.87
V: 0.9843 0.4335 0.3184  3 O 1.71-1.87
V: 0.5996 0.1794 0.4879  4 O 1.68-1.79
V: 0.4004 0.8206 0.5121  4 O 1.68-1.79
V: 0.2105 0.5027 0.7143  4 O 1.71-1.81
V: 0.0996 0.8206 0.0121  4 O 1.68-1.79
V: 0.5157 0.4335 0.8184  3 O 1.71-1.87
Zn: 0.8661 0.6979 0.9349  5 O 2.06-2.22
Zn: 0.4990 0.0336 0.2694  4 O 2.04-2.12
Zn: 0.9990 0.9664 0.2306  4 O 2.04-2.12
Zn: 0.1339 0.3021 0.0651  5 O 2.06-2.22
Zn: 0.0010 0.0336 0.7694  4 O 2.04-2.12
Zn: 0.6339 0.6979 0.4349  5 O 2.06-2.22
Zn: 0.5010 0.9664 0.7306  4 O 2.04-2.12
Zn: 0.3661 0.3021 0.5651  5 O 2.06-2.22

Computed properties:
Calculated volume in Å³/cell: 1090
Symmetry: P2_1/c
Magnetic moment in μB per formula unit: 3.000
Energy in eV per atom: -6.683
DFT formation energy in eV/atom: -2.017


(4)
DFT (PBE+U) results for a relaxed BaV6O11 crystal.

Unit cell a=5.9472 b=5.9472 c=13.5258 alpha=90.00 beta=90.00 gamma=120.00
With the nearest neighbours (Å) after each atom.
Positions (direct):
O: 0.1485 0.8515 0.7500  3 V 1.90-2.08
O: 0.3472 0.1736 0.5765  3 V 1.98-2.02
O: 0.8264 0.6528 0.5765  3 V 1.98-2.02
O: 0.7029 0.8515 0.7500  3 V 1.90-2.08
O: 0.6667 0.3333 0.0828  4 V 2.05-2.26
O: 0.6667 0.3333 0.4172  4 V 2.05-2.26
O: 0.8515 0.1485 0.2500  3 V 1.90-2.08
O: 0.3333 0.6667 0.9172  4 V 2.05-2.26
O: 0.1736 0.8264 0.4235  3 V 1.98-2.02
O: 0.8264 0.6528 0.9235  3 V 1.98-2.02
O: 0.1485 0.2971 0.7500  3 V 1.90-2.08
O: 0.6528 0.8264 0.4235  3 V 1.98-2.02
O: 0.3333 0.6667 0.5828  4 V 2.05-2.26
O: 0.8515 0.7029 0.2500  3 V 1.90-2.08
O: 0.6528 0.8264 0.0765  3 V 1.98-2.02
O: 0.1736 0.8264 0.0765  3 V 1.98-2.02
O: 0.8264 0.1736 0.9235  3 V 1.98-2.02
O: 0.3472 0.1736 0.9235  3 V 1.98-2.02
O: 0.8264 0.1736 0.5765  3 V 1.98-2.02
O: 0.1736 0.3472 0.0765  3 V 1.98-2.02
O: 0.1736 0.3472 0.4235  3 V 1.98-2.02
O: 0.2971 0.1485 0.2500  3 V 1.90-2.08
V: 0.3333 0.6667 0.7500  3 O 1.90
V: 0.5000 0.0000 0.5000  6 O 1.98-2.05
V: 0.0000 0.5000 0.5000  6 O 1.98-2.05
V: 0.5000 0.5000 0.0000  6 O 1.98-2.05
V: 0.0000 0.5000 0.0000  6 O 1.98-2.05
V: 0.0000 0.0000 0.1457  6 O 2.02-2.08
V: 0.0000 0.0000 0.3543  6 O 2.02-2.08
V: 0.0000 0.0000 0.6457  6 O 2.02-2.08
V: 0.5000 0.5000 0.5000  6 O 1.98-2.05
V: 0.6667 0.3333 0.2500  3 O 1.90
V: 0.0000 0.0000 0.8543  6 O 2.02-2.08
V: 0.5000 0.0000 0.0000  6 O 1.98-2.05
Ba: 0.6667 0.3333 0.7500  12 O 2.87-2.98
Ba: 0.3333 0.6667 0.2500  12 O 2.87-2.98

Computed properties:
Calculated volume in Å³/cell: 414
Symmetry: P6_3/mmc
Energy in eV per atom: -7.789
DFT formation energy in eV/atom: -2.617
Offset from the most stable computed form in meV/atom: 18


(5)
DFT (PBE+U) results for a relaxed NaCrF6 crystal.

Unit cell a=5.7508 b=5.7508 c=5.7508 alpha=55.83 beta=55.83 gamma=55.83
With the nearest neighbours (Å) after each atom.
Positions (direct):
Na: 0.5000 0.5000 0.5000  6 F 2.33
F: 0.6688 0.2135 0.9015  1 Cr 1.81
F: 0.0985 0.3312 0.7865  1 Cr 1.81
F: 0.3312 0.7865 0.0985  1 Cr 1.81
F: 0.7865 0.0985 0.3312  1 Cr 1.81
F: 0.2135 0.9015 0.6688  1 Cr 1.81
F: 0.9015 0.6688 0.2135  1 Cr 1.81
Cr: 0.0000 0.0000 0.0000  6 F 1.81

Computed properties:
Calculated volume in Å³/cell: 121
Symmetry: R-3
Magnetic moment in μB per formula unit: 1.000
Energy in eV per atom: -4.741
DFT formation energy in eV/atom: -2.530


(6)
DFT (PBE+U) results for a relaxed Na4MgNi5O10 crystal.

Unit cell a=5.1855 b=5.5076 c=8.2280 alpha=112.78 beta=103.18 gamma=98.39
With the nearest neighbours (Å) after each atom.
Positions (direct):
Ni: 0.8180 0.1144 0.6019  5 O 1.96-2.18
Ni: 0.4164 0.3091 0.7983  6 O 2.07-2.11
Ni: 0.6180 0.7053 0.2040  6 O 2.05-2.16
Ni: 0.0209 0.5109 0.0038  4 O 1.94
Ni: 0.2144 0.9083 0.4049  6 O 1.90-1.94
Na: 0.7772 0.7071 0.7108  6 O 2.25-2.49
Na: 0.9840 0.1021 0.1038  6 O 2.26-2.40
Na: 0.3848 0.9024 0.9110  6 O 2.32-2.56
Na: 0.5716 0.2957 0.2979  6 O 2.25-2.47
O: 0.0905 0.4690 0.7361  2 Ni 1.96-2.07, 1 Mg 2.08
O: 0.3225 0.3452 0.0367  3 Ni 1.94-2.07
O: 0.9144 0.0762 0.3739  3 Ni 1.94-2.09
O: 0.5161 0.7593 0.4525  2 Ni 1.90-2.04
O: 0.9669 0.5524 0.2763  1 Ni 1.91, 1 Mg 2.12
O: 0.7593 0.1620 0.8386  3 Ni 1.94-2.07
O: 0.4580 0.2680 0.5398  2 Ni 1.92-2.11, 1 Mg 2.11
O: 0.7152 0.6706 0.9699  3 Ni 1.94-2.07
O: 0.1508 0.9175 0.6250  2 Ni 1.90-2.11
O: 0.2773 0.8634 0.1723  3 Ni 1.94-2.09
Mg: 0.1736 0.4966 0.5073  5 O 2.08-2.20

Computed properties:
Calculated volume in Å³/cell: 204
Symmetry: P1
Magnetic moment in μB per formula unit: 6.000
Energy in eV per atom: -4.659
DFT formation energy in eV/atom: -1.374
Offset from the most stable computed form in meV/atom: 54